# 1
# BrCl (r2SCAN, relaxed)
# Formation energy from the elements = -0.0199 eV per atom
# Total moment = 0.00 μB per formula unit
# Crystal system = orthorhombic
# Symmetry = Cmcm (63)
data_BrCl
_chemical_formula_sum 'Br2 Cl2'
_cell_length_a 4.1146
_cell_length_b 4.1146
_cell_length_c 7.7082
_cell_angle_alpha 90.00
_cell_angle_beta 90.00
_cell_angle_gamma 109.39
_symmetry_space_group_name_H-M 'P 1'
_symmetry_Int_Tables_number 1
loop_
_symmetry_equiv_pos_as_xyz
'x,y,z'
loop_
_atom_site_label
_atom_site_type_symbol
_atom_site_fract_x
_atom_site_fract_y
_atom_site_fract_z
Cl1 Cl 0.6992 0.6992 0.6252
Cl2 Cl 0.3008 0.3008 0.1252
Br1 Br 0.0001 0.0001 0.8748
Br2 Br 0.9999 0.9999 0.3748


# 2
# SrPSe3 (r2SCAN, relaxed)
# Formation energy from the elements = -1.1281 eV per atom
# Total moment = 0.00 μB per formula unit
# Crystal system = monoclinic
# Symmetry = P2_1/c (14)
data_SrPSe3
_chemical_formula_sum 'Sr4 P4 Se12'
_cell_length_a 7.0690
_cell_length_b 7.8616
_cell_length_c 9.8707
_cell_angle_alpha 90.00
_cell_angle_beta 91.60
_cell_angle_gamma 90.00
_symmetry_space_group_name_H-M 'P 1'
_symmetry_Int_Tables_number 1
loop_
_symmetry_equiv_pos_as_xyz
'x,y,z'
loop_
_atom_site_label
_atom_site_type_symbol
_atom_site_fract_x
_atom_site_fract_y
_atom_site_fract_z
Se1 Se 0.3161 0.8019 0.5407
Se2 Se 0.3387 0.8012 0.9448
Se3 Se 0.3984 0.5010 0.2639
Se4 Se 0.1016 0.0010 0.2361
Se5 Se 0.6613 0.1988 0.0552
Se6 Se 0.8161 0.6981 0.0407
Se7 Se 0.6839 0.1981 0.4593
Se8 Se 0.8387 0.6988 0.4448
Se9 Se 0.6016 0.4990 0.7361
Se10 Se 0.1839 0.3019 0.9593
Se11 Se 0.8984 0.9990 0.7639
Se12 Se 0.1613 0.3012 0.5552
P1 P 0.5579 0.6055 0.9366
P2 P 0.4421 0.3945 0.0634
P3 P 0.0579 0.8945 0.4366
P4 P 0.9421 0.1055 0.5634
Sr1 Sr 0.0358 0.6087 0.7514
Sr2 Sr 0.4642 0.1087 0.7486
Sr3 Sr 0.9642 0.3913 0.2486
Sr4 Sr 0.5358 0.8913 0.2514


# 3
# VBr2 (r2SCAN, relaxed)
# Formation energy from the elements = -1.2881 eV per atom
# Total moment = 3.00 μB per formula unit
# Crystal system = trigonal
# Symmetry = P-3m1 (164)
data_VBr2
_chemical_formula_sum 'V1 Br2'
_cell_length_a 3.8234
_cell_length_b 3.8237
_cell_length_c 6.4128
_cell_angle_alpha 90.00
_cell_angle_beta 90.00
_cell_angle_gamma 120.00
_symmetry_space_group_name_H-M 'P 1'
_symmetry_Int_Tables_number 1
loop_
_symmetry_equiv_pos_as_xyz
'x,y,z'
loop_
_atom_site_label
_atom_site_type_symbol
_atom_site_fract_x
_atom_site_fract_y
_atom_site_fract_z
Br1 Br 0.3333 0.6667 0.2286
Br2 Br 0.6666 0.3333 0.7714
V1 V 0.0000 0.0000 0.0000


# 4
# AcBiAu2 (r2SCAN, relaxed)
# Formation energy from the elements = -0.7038 eV per atom
# Total moment = 0.00 μB per formula unit
# Crystal system = cubic
# Symmetry = Fm-3m (225)
data_AcBiAu2
_chemical_formula_sum 'Ac1 Bi1 Au2'
_cell_length_a 5.3034
_cell_length_b 5.3034
_cell_length_c 5.3034
_cell_angle_alpha 60.00
_cell_angle_beta 60.00
_cell_angle_gamma 60.00
_symmetry_space_group_name_H-M 'P 1'
_symmetry_Int_Tables_number 1
loop_
_symmetry_equiv_pos_as_xyz
'x,y,z'
loop_
_atom_site_label
_atom_site_type_symbol
_atom_site_fract_x
_atom_site_fract_y
_atom_site_fract_z
Ac1 Ac 0.2500 0.2500 0.2500
Bi1 Bi 0.7500 0.7500 0.7500
Au1 Au 0.0000 0.0000 0.0000
Au2 Au 0.5000 0.5000 0.5000


# 5
# Te2P2O9 (r2SCAN, relaxed)
# Formation energy from the elements = -1.7904 eV per atom
# Total moment = 0.00 μB per formula unit
# Crystal system = monoclinic
# Symmetry = Cc (9)
data_Te2P2O9
_chemical_formula_sum 'Te4 P4 O18'
_cell_length_a 7.3284
_cell_length_b 7.3284
_cell_length_c 9.5746
_cell_angle_alpha 85.10
_cell_angle_beta 85.10
_cell_angle_gamma 137.09
_symmetry_space_group_name_H-M 'P 1'
_symmetry_Int_Tables_number 1
loop_
_symmetry_equiv_pos_as_xyz
'x,y,z'
loop_
_atom_site_label
_atom_site_type_symbol
_atom_site_fract_x
_atom_site_fract_y
_atom_site_fract_z
O1 O 0.3402 0.7729 0.3025
O2 O 0.3142 0.4221 0.0820
O3 O 0.8895 0.2965 0.0922
O4 O 0.7729 0.3402 0.8025
O5 O 0.8690 0.9389 0.0826
O6 O 0.4221 0.3142 0.5820
O7 O 0.6265 0.9087 0.7883
O8 O 0.5140 0.7307 0.5287
O9 O 0.7307 0.5140 0.0287
O10 O 0.2965 0.8895 0.5922
O11 O 0.9316 0.1176 0.3059
O12 O 0.2782 0.8961 0.0677
O13 O 0.3568 0.1244 0.2724
O14 O 0.9389 0.8690 0.5826
O15 O 0.1176 0.9316 0.8059
O16 O 0.1244 0.3568 0.7724
O17 O 0.8961 0.2782 0.5677
O18 O 0.9087 0.6265 0.2883
Te1 Te 0.0527 0.6322 0.9350
Te2 Te 0.6322 0.0527 0.4350
Te3 Te 0.5412 0.6018 0.6993
Te4 Te 0.6018 0.5412 0.1993
P1 P 0.2221 0.8548 0.2323
P2 P 0.0012 0.1946 0.1404
P3 P 0.1946 0.0012 0.6404
P4 P 0.8548 0.2221 0.7323


# 6
# CrO (r2SCAN, relaxed)
# Formation energy from the elements = -1.7912 eV per atom
# Total moment = 3.56 μB per formula unit
data_CrO
_chemical_formula_sum 'Cr4 O4'
_cell_length_a 4.2109
_cell_length_b 5.2902
_cell_length_c 4.2231
_cell_angle_alpha 90.00
_cell_angle_beta 90.00
_cell_angle_gamma 90.14
_symmetry_space_group_name_H-M 'P 1'
_symmetry_Int_Tables_number 1
loop_
_symmetry_equiv_pos_as_xyz
'x,y,z'
loop_
_atom_site_label
_atom_site_type_symbol
_atom_site_fract_x
_atom_site_fract_y
_atom_site_fract_z
Cr1 Cr 0.9001 0.4000 0.4998
Cr2 Cr 0.4001 0.4000 0.9998
Cr3 Cr 0.9001 0.9000 0.0002
Cr4 Cr 0.4001 0.9000 0.5002
O1 O 0.1499 0.6499 0.7510
O2 O 0.6499 0.6499 0.2510
O3 O 0.6499 0.1500 0.2490
O4 O 0.1499 0.1500 0.7490


# 7
# Nd2MnFe3Ge4 (r2SCAN, relaxed)
# Formation energy from the elements = -0.4684 eV per atom
# Total moment = 6.27 μB per formula unit
# Crystal system = tetragonal
# Symmetry = P-4m2 (115)
data_Nd2MnFe3Ge4
_chemical_formula_sum 'Nd2 Mn1 Fe3 Ge4'
_cell_length_a 4.1241
_cell_length_b 4.1241
_cell_length_c 10.5622
_cell_angle_alpha 90.00
_cell_angle_beta 90.00
_cell_angle_gamma 90.00
_symmetry_space_group_name_H-M 'P 1'
_symmetry_Int_Tables_number 1
loop_
_symmetry_equiv_pos_as_xyz
'x,y,z'
loop_
_atom_site_label
_atom_site_type_symbol
_atom_site_fract_x
_atom_site_fract_y
_atom_site_fract_z
Ge1 Ge 0.0000 0.0000 0.3836
Ge2 Ge 0.5000 0.5000 0.1164
Ge3 Ge 0.5000 0.5000 0.8669
Ge4 Ge 0.0000 0.0000 0.6331
Nd1 Nd 0.5000 0.5000 0.5077
Nd2 Nd 0.0000 0.0000 0.9923
Mn1 Mn 0.0000 0.5000 0.2500
Fe1 Fe 0.5000 0.0000 0.2500
Fe2 Fe 0.5000 0.0000 0.7500
Fe3 Fe 0.0000 0.5000 0.7500


# 8
# InCuO2 (r2SCAN, relaxed)
# Formation energy from the elements = -1.3374 eV per atom
# Total moment = 0.00 μB per formula unit
# Crystal system = trigonal
# Symmetry = R-3m (166)
data_InCuO2
_chemical_formula_sum 'In1 Cu1 O2'
_cell_length_a 6.0888
_cell_length_b 6.0888
_cell_length_c 6.0888
_cell_angle_alpha 31.56
_cell_angle_beta 31.56
_cell_angle_gamma 31.56
_symmetry_space_group_name_H-M 'P 1'
_symmetry_Int_Tables_number 1
loop_
_symmetry_equiv_pos_as_xyz
'x,y,z'
loop_
_atom_site_label
_atom_site_type_symbol
_atom_site_fract_x
_atom_site_fract_y
_atom_site_fract_z
O1 O 0.8944 0.8944 0.8944
O2 O 0.1056 0.1056 0.1056
Cu1 Cu 0.0000 0.0000 0.0000
In1 In 0.5000 0.5000 0.5000


E across the listed records, respectively: -9.7256, -14.5446, -14.8239, -57.7813, -11.2205, -12.3141, -17.6931, -12.6800 eV/atom.
Volume across the listed records, respectively: 30.8, 27.4, 27.1, 26.4, 13.1, 11.8, 18.0, 13.7 Å³ per atom.